Entry from the Materials Project database: a relaxed structure of Li7Mn5O12 (PBE+U).

Mass density: 3.89 g/cm³
ΔE_f: -49.3 kcal/mol of atoms
Offset from the most stable computed form: 0.020 eV/atom
E (MP2020): -7.076 eV per atom
Total moment: 18.00 μB per formula unit

a b c (Å): 5.9976 6.0111 12.9087
angles (deg): 102.84 102.99 91.85
Closest atoms and distances in Å follow each position.
Space group P1 (No. 1)
Asymmetric unit:
Li1 0.0000 0.0000 0.0000 x1  6 O 2.08-2.17
Li2 0.0003 0.9996 0.4995 x1  6 O 2.05-2.16
Li3 0.0007 0.4995 0.9998 x1  6 O 2.16-2.35
Li4 0.1709 0.1751 0.8391 x1  6 O 2.06-2.25
Li5 0.1909 0.6474 0.8412 x1  4 O 2.00-2.13
Li6 0.3120 0.8559 0.6671 x1  5 O 2.12-2.25
Li7 0.3330 0.3286 0.6627 x1  6 O 2.07-2.23
Li8 0.5000 0.9997 0.4994 x1  4 O 2.05-2.21
Li9 0.5004 0.4997 0.4994 x1  6 O 2.09-2.16
Li10 0.5010 0.4993 0.9998 x1  6 O 2.06-2.16
Li11 0.6678 0.6701 0.3363 x1  6 O 2.07-2.23
Li12 0.6883 0.1426 0.3320 x1  5 O 2.12-2.24
Li13 0.8105 0.3508 0.1583 x1  5 O 2.00-2.24
Li14 0.8295 0.8236 0.1602 x1  6 O 2.06-2.26
Mn1 0.0004 0.4997 0.4996 x1  6 O 1.94-1.97
Mn2 0.1559 0.6709 0.3331 x1  6 O 1.92-2.00
Mn3 0.1661 0.1651 0.3338 x1  4 O 1.93-2.00
Mn4 0.3370 0.3318 0.1646 x1  4 O 1.94-2.01
Mn5 0.3434 0.8251 0.1656 x1  5 O 1.94-2.17
Mn6 0.5003 0.9998 0.9995 x1  6 O 1.95-1.97
Mn7 0.6572 0.1740 0.8333 x1  4 O 1.94-2.04
Mn8 0.6637 0.6675 0.8346 x1  4 O 1.94-2.01
Mn9 0.8347 0.8344 0.6653 x1  4 O 1.93-2.00
Mn10 0.8447 0.3286 0.6660 x1  6 O 1.92-2.00
O1 0.0510 0.0888 0.6666 x1  2 Mn 1.93-1.97, 3 Li 2.05-2.13
O2 0.0720 0.5828 0.1762 x1  1 Mn 1.92, 2 Li 2.00-2.09
O3 0.0793 0.5561 0.6576 x1  2 Mn 1.94-1.97, 1 Li 2.08
O4 0.1291 0.0751 0.1745 x1  3 Mn 1.97-2.01, 1 Li 2.15
O5 0.2228 0.2699 0.4907 x1  2 Mn 1.93-1.95, 3 Li 2.10-2.11
O6 0.2325 0.7324 0.4935 x1  2 Mn 1.96-1.97, 3 Li 2.13-2.16
O7 0.2691 0.7672 0.0068 x1  2 Mn 1.95-1.97, 3 Li 2.04-2.17
O8 0.2737 0.2293 0.0068 x1  2 Mn 1.94-1.97, 3 Li 2.06-2.12
O9 0.3740 0.4254 0.3277 x1  3 Mn 2.00-2.01, 2 Li 2.11-2.23
O10 0.4009 0.9178 0.8401 x1  2 Mn 1.95-2.17, 3 Li 2.03-2.12
O11 0.4042 0.8908 0.3320 x1  2 Mn 1.96-2.04, 2 Li 2.05-2.10
O12 0.4508 0.4153 0.8315 x1  2 Mn 1.94, 3 Li 2.07-2.13
O13 0.5498 0.5840 0.1677 x1  2 Mn 1.94, 3 Li 2.06-2.14
O14 0.5965 0.1089 0.6671 x1  2 Mn 1.96-2.04, 2 Li 2.06-2.09
O15 0.5997 0.0814 0.1592 x1  2 Mn 1.95-2.17, 3 Li 2.03-2.12
O16 0.6266 0.5742 0.6714 x1  3 Mn 2.00-2.01, 2 Li 2.12-2.23
O17 0.7271 0.7701 0.9925 x1  2 Mn 1.94-1.97, 3 Li 2.06-2.12
O18 0.7317 0.2321 0.9922 x1  2 Mn 1.95-1.97, 3 Li 2.04-2.16
O19 0.7682 0.2673 0.5055 x1  2 Mn 1.96-1.97, 3 Li 2.13-2.16
O20 0.7780 0.7295 0.5084 x1  2 Mn 1.93-1.95, 3 Li 2.09-2.12
O21 0.8714 0.9242 0.8246 x1  3 Mn 1.97-2.01, 1 Li 2.16
O22 0.9216 0.4434 0.3415 x1  2 Mn 1.94-1.97, 1 Li 2.08
O23 0.9284 0.4164 0.8228 x1  1 Mn 1.92, 2 Li 2.00-2.10
O24 0.9496 0.9106 0.3325 x1  2 Mn 1.93-1.97, 3 Li 2.05-2.13

***

Entry from the Materials Project database: a relaxed structure of K2Mo3O10 (PBE+U).

Mass density: 3.33 g/cm³
ΔE_f: -48.5 kcal/mol of atoms
E (MP2020): -7.719 eV per atom

a b c (Å): 14.3707 8.1129 9.1151
angles (deg): 90.00 98.76 90.00
Closest atoms and distances in Å follow each position.
Space group C2/c (No. 15)
Asymmetric unit:
K1 0.1844 0.0941 0.1562 x8  6 O 2.78-3.03
Mo1 0.0000 0.2004 0.7500 x4  2 O 1.74
Mo2 0.1075 0.4229 0.5189 x8  3 O 1.74-1.94
O1 0.0250 0.4114 0.9095 x8  2 Mo 1.96-2.11
O2 0.0553 0.0667 0.8858 x8  1 Mo 1.74
O3 0.1198 0.2601 0.6770 x8  2 Mo 1.94-2.00
O4 0.1369 0.3080 0.3715 x8  1 Mo 1.74
O5 0.2039 0.4479 0.0804 x8  1 Mo 1.76

***

Entry from the Materials Project database: a relaxed structure of Na3FeBSO7 (PBE+U).

Mass density: 2.80 g/cm³
ΔE_f: -49.6 kcal/mol of atoms
E (MP2020): -6.606 eV per atom
Total moment: 0.00 μB per formula unit

a b c (Å): 8.7130 8.7136 10.3995
angles (deg): 107.39 107.41 105.18
Closest atoms and distances in Å follow each position.
Space group P1 (No. 1)
Asymmetric unit:
Na1 0.0000 0.0000 0.0000 x1  4 O 2.25-2.50
Na2 0.0156 0.0332 0.5295 x1  4 O 2.26-2.50
Na3 0.0368 0.2955 0.8296 x1  3 O 2.33-2.51
Na4 0.2422 0.7586 0.9996 x1  4 O 2.25-2.51
Na5 0.2753 0.7734 0.5290 x1  4 O 2.26-2.51
Na6 0.4788 0.2360 0.7012 x1  3 O 2.33-2.51
Na7 0.4994 0.4967 0.9999 x1  4 O 2.26-2.52
Na8 0.5157 0.5324 0.5294 x1  4 O 2.27-2.52
Na9 0.5392 0.7955 0.8293 x1  3 O 2.33-2.52
Na10 0.7397 0.2567 0.0004 x1  4 O 2.26-2.52
Na11 0.7762 0.2750 0.5307 x1  4 O 2.27-2.53
Na12 0.9758 0.7347 0.7006 x1  3 O 2.35-2.51
Fe1 0.0837 0.3418 0.4287 x1  6 O 2.04-2.26
Fe2 0.4309 0.1890 0.1011 x1  6 O 2.05-2.27
Fe3 0.5835 0.8412 0.4276 x1  6 O 2.05-2.27
Fe4 0.9367 0.6939 0.1037 x1  6 O 2.08-2.27
B1 0.2347 0.4922 0.7027 x1  3 O 1.36-1.41
B2 0.2806 0.0381 0.8267 x1  3 O 1.36-1.41
B3 0.7336 0.9916 0.7017 x1  3 O 1.36-1.41
B4 0.7820 0.5400 0.8310 x1  3 O 1.37-1.41
S1 0.1993 0.4575 0.1840 x1  4 O 1.49-1.51
S2 0.3150 0.0737 0.3447 x1  4 O 1.49-1.50
S3 0.7004 0.9581 0.1847 x1  4 O 1.49-1.51
S4 0.8132 0.5703 0.3447 x1  4 O 1.49-1.50
O1 0.0751 0.3334 0.2160 x1  1 S 1.51
O2 0.0829 0.3400 0.6319 x1  1 B 1.40
O3 0.1015 0.5323 0.0931 x1  1 S 1.49
O4 0.1766 0.9353 0.2005 x1  1 S 1.49
O5 0.1932 0.9507 0.6773 x1  1 B 1.36
O6 0.2241 0.9826 0.9252 x1  1 B 1.41
O7 0.2373 0.1689 0.4339 x1  1 S 1.49
O8 0.2761 0.3604 0.0949 x1  1 S 1.49
O9 0.2903 0.5482 0.6040 x1  1 B 1.41
O10 0.3224 0.5798 0.8521 x1  1 B 1.36
O11 0.3384 0.5974 0.3268 x1  1 S 1.49
O12 0.4112 0.9961 0.4334 x1  1 S 1.49
O13 0.4330 0.1898 0.8980 x1  1 B 1.40
O14 0.4395 0.1993 0.3143 x1  1 S 1.50
O15 0.5756 0.8346 0.2167 x1  1 S 1.51
O16 0.5817 0.8391 0.6296 x1  1 B 1.40
O17 0.6041 0.0356 0.0958 x1  1 S 1.49
O18 0.6732 0.4307 0.2023 x1  1 S 1.49
O19 0.6963 0.4546 0.6809 x1  1 B 1.37
O20 0.7250 0.4822 0.9277 x1  1 B 1.41
O21 0.7378 0.6690 0.4342 x1  1 S 1.49
O22 0.7747 0.8594 0.0941 x1  1 S 1.49
O23 0.7903 0.0488 0.6041 x1  1 B 1.41
O24 0.8199 0.0778 0.8513 x1  1 B 1.36
O25 0.8406 0.0968 0.3276 x1  1 S 1.49
O26 0.9096 0.4941 0.4351 x1  1 S 1.49
O27 0.9346 0.6931 0.9027 x1  1 B 1.41
O28 0.9372 0.6921 0.3113 x1  1 S 1.50